1.
Computed, not measured: an optimized crystal structure of MgFe8O14F2 at the PBE with a Hubbard U level of DFT.

Unit cell a=4.7915 b=4.8549 c=11.8632 alpha=89.97 beta=89.86 gamma=89.61
Closest atoms and distances in Å follow each position.
Space group P1 (No. 1)
Inequivalent atoms, fractional coordinates:
Mg 0.0000 0.0000 0.0000  1 F 1.90, 5 O 1.96-2.09
Fe 0.0013 0.4728 0.7516  5 O 1.96-2.10, 1 F 2.05
Fe 0.0038 0.4759 0.2526  6 O 1.98-2.10
Fe 0.4974 0.9748 0.3797  6 O 1.92-2.14
Fe 0.5001 0.9599 0.8595  4 O 1.91-2.08
Fe 0.5008 0.9614 0.1406  4 O 1.91-2.10
Fe 0.5318 0.0093 0.6223  5 O 1.91-2.01
Fe 0.9498 0.5065 0.0014  5 O 1.91-1.97
Fe 0.9979 0.4745 0.4945  3 O 1.88-1.90, 1 F 2.05
O 0.1496 0.7127 0.1166  3 Fe 1.95-2.10, 1 Mg 2.09
O 0.1520 0.7129 0.8841  3 Fe 1.97-2.09, 1 Mg 2.09
O 0.1904 0.6624 0.3803  2 Fe 1.88-1.98
O 0.3158 0.1711 0.2574  3 Fe 1.93-2.10
O 0.3178 0.1650 0.5017  3 Fe 1.91-2.14
O 0.3262 0.1860 0.7443  3 Fe 1.94-2.08
O 0.6531 0.7886 0.0003  1 Mg 1.96, 3 Fe 1.97-2.00
O 0.6843 0.7744 0.2612  3 Fe 1.91-2.10
O 0.6890 0.7973 0.5016  2 Fe 1.91-1.92
O 0.6960 0.7831 0.7392  3 Fe 1.91-2.10
O 0.8115 0.2868 0.3792  2 Fe 1.88-1.99
O 0.8292 0.2982 0.6199  3 Fe 1.90-2.01
O 0.8319 0.2633 0.1180  2 Fe 1.91-2.08, 1 Mg 2.06
O 0.8327 0.2651 0.8836  2 Fe 1.91-2.03, 1 Mg 2.05
F 0.1966 0.6757 0.6228  3 Fe 2.05-2.29
F 0.3321 0.2133 0.0008  1 Mg 1.90

For the energy relative to the lowest polymorph listed for this composition, the calculation gives 60 meV per atom. For the energy of formation from the pure elements, the calculation gives -1.58 eV/atom.



2.
Computed, not measured: an optimized crystal structure of TiMnO3 at the PBE with a Hubbard U level of DFT.

Unit cell a=3.2719 b=5.9570 c=6.1732 alpha=100.60 beta=105.31 gamma=92.30
Closest atoms and distances in Å follow each position.
Space group P-1 (No. 2)
Inequivalent atoms, fractional coordinates:
Ti 0.1221 0.4266 0.2571  7 O 1.98-2.17
Mn 0.3609 0.1138 0.7805  4 O 2.01-2.11
O 0.0656 0.6911 0.1029  2 Ti 1.98-2.12, 2 Mn 2.04-2.05
O 0.2772 0.3670 0.5773  3 Ti 2.01-2.17, 1 Mn 2.11
O 0.4179 0.7815 0.7931  1 Mn 2.01, 2 Ti 2.04

For the energy of formation from the pure elements, the calculation gives -2.75 eV/atom.



3.
Computed, not measured: an optimized crystal structure of Li2VOF4 at the PBE with a Hubbard U level of DFT.

Unit cell a=3.7010 b=9.9936 c=11.5219 alpha=115.68 beta=98.98 gamma=90.15
Closest atoms and distances in Å follow each position.
Space group P1 (No. 1)
Inequivalent atoms, fractional coordinates:
Li 0.0000 0.0000 0.0000  4 F 1.92-2.10
Li 0.0788 0.4047 0.1730  4 F 1.92-2.07
Li 0.2424 0.5209 0.5002  4 F 1.92-2.10
Li 0.3271 0.2892 0.6732  4 F 1.92-2.08
Li 0.4998 0.5002 0.0002  4 F 1.92-2.10
Li 0.5884 0.9049 0.1731  4 F 1.92-2.08
Li 0.7460 0.0211 0.5002  4 F 1.92-2.10
Li 0.8336 0.7891 0.6729  4 F 1.92-2.07
V 0.2190 0.1781 0.3625  1 O 1.72, 1 F 1.90
V 0.3869 0.7052 0.8626  1 O 1.72, 1 F 1.90
V 0.6328 0.6782 0.3624  1 O 1.71, 1 F 1.90
V 0.8853 0.2051 0.8625  1 O 1.72, 2 F 1.90-1.92
O 0.1691 0.6532 0.3535  1 V 1.71
O 0.4213 0.2212 0.8537  1 V 1.72
O 0.6742 0.1533 0.3537  1 V 1.72
O 0.9233 0.7214 0.8538  1 V 1.72
F 0.0093 0.2047 0.0307  2 Li 1.92-1.94, 1 V 1.92
F 0.0892 0.0001 0.1845  1 V 2.03, 3 Li 2.04-2.10
F 0.1382 0.3235 0.2978  1 V 1.90, 1 Li 1.92
F 0.2279 0.0652 0.4699  2 Li 1.96-1.98, 1 V 2.00
F 0.2568 0.3466 0.5307  2 Li 1.92-1.94, 1 V 1.92
F 0.3412 0.7053 0.6846  1 V 2.03, 3 Li 2.05-2.10
F 0.4057 0.4952 0.7979  1 V 1.90, 1 Li 1.92
F 0.4863 0.9255 0.9699  2 Li 1.96-1.97, 1 V 2.00
F 0.5111 0.7049 0.0308  2 Li 1.92-1.94, 1 V 1.92
F 0.5881 0.4999 0.1844  1 V 2.03, 3 Li 2.05-2.10
F 0.6505 0.8235 0.2976  1 V 1.90, 1 Li 1.92
F 0.7303 0.5654 0.4698  2 Li 1.96-1.98, 1 V 2.00
F 0.7568 0.8468 0.5305  2 Li 1.92-1.94, 1 V 1.92
F 0.8386 0.2053 0.6845  1 V 2.03, 3 Li 2.04-2.10
F 0.9044 0.9951 0.7978  1 V 1.90, 1 Li 1.92
F 0.9853 0.4254 0.9698  2 Li 1.97, 1 V 2.00

For the energy relative to the lowest polymorph listed for this composition, the calculation gives 5 meV per atom. For the energy of formation from the pure elements, the calculation gives -3.03 eV/atom.



4.
Computed, not measured: an optimized crystal structure of V2ZnO4 at the PBE with a Hubbard U level of DFT.

Unit cell a=5.9783 b=10.3083 c=5.1885 alpha=90.00 beta=90.00 gamma=90.00
Closest atoms and distances in Å follow each position.
Space group Pmmn (No. 59, origin choice 2)
Inequivalent atoms, fractional coordinates:
V 0.0000 0.0000 0.0000  6 O 2.01-2.09
V 0.2500 0.0157 0.4872  6 O 2.03-2.14
Zn 0.2500 0.2500 0.8505  6 O 2.10-2.28
Zn 0.2500 0.7500 0.5358  6 O 2.10-2.30
O 0.0020 0.6131 0.3345  3 V 2.03-2.14
O 0.2500 0.1089 0.1434  3 V 2.01-2.03, 1 Zn 2.10
O 0.2500 0.5985 0.8073  3 V 2.04-2.07, 1 Zn 2.10

For the energy relative to the lowest polymorph listed for this composition, the calculation gives 161 meV per atom. For the energy of formation from the pure elements, the calculation gives -2.18 eV/atom.



5.
Computed, not measured: an optimized crystal structure of Dy2VO5 at the PBE with a Hubbard U level of DFT.

Unit cell a=9.3880 b=7.0605 c=6.7997 alpha=90.00 beta=100.81 gamma=90.00
Closest atoms and distances in Å follow each position.
Space group P2_1/c (No. 14)
Inequivalent atoms, fractional coordinates:
Dy 0.0295 0.1205 0.2353  6 O 2.26-2.47
Dy 0.3499 0.1426 0.0113  7 O 2.25-2.42
V 0.3038 0.5988 0.0114  4 O 1.78-1.87
O 0.1040 0.6416 0.9734  1 V 1.87
O 0.1075 0.1161 0.9244  4 Dy 2.25-2.36
O 0.2787 0.0807 0.3063  1 V 1.87
O 0.3751 0.0755 0.6915  1 V 1.78
O 0.3989 0.6838 0.4950  1 V 1.79

For the energy of formation from the pure elements, the calculation gives -3.45 eV/atom.



6.
Computed, not measured: an optimized crystal structure of Li10Co3Ni7O20 at the PBE with a Hubbard U level of DFT.

Unit cell a=2.8151 b=11.4996 c=11.5000 alpha=112.66 beta=97.02 gamma=90.10
Closest atoms and distances in Å follow each position.
Space group P-1 (No. 2)
Inequivalent atoms, fractional coordinates:
Li 0.0051 0.2550 0.0025  6 O 2.07-2.16
Li 0.1978 0.6500 0.4012  6 O 2.08-2.32
Li 0.1989 0.1469 0.3965  6 O 2.09-2.14
Li 0.3952 0.5546 0.8018  6 O 2.06-2.18
Li 0.3987 0.0469 0.7967  5 O 2.07-2.13
Co 0.0000 0.5000 0.0000  6 O 1.91-1.92
Co 0.3966 0.8012 0.8010  6 O 1.91-1.93
Ni 0.0000 0.0000 0.0000  6 O 1.91-2.08
Ni 0.1972 0.3999 0.3946  6 O 1.91-2.12
Ni 0.1982 0.8978 0.3990  6 O 1.90-2.12
Ni 0.4046 0.3012 0.8062  5 O 1.91-2.08
O 0.0923 0.5817 0.1817  2 Ni 1.91-1.92, 1 Co 1.92
O 0.0993 0.8128 0.1994  3 Ni 1.91-2.10, 3 Li 2.13
O 0.1041 0.0844 0.1979  2 Co 1.92-1.93, 3 Li 2.07-2.09, 1 Ni 2.08
O 0.1070 0.3123 0.2002  2 Co 1.91-1.92, 1 Ni 2.05, 3 Li 2.08-2.09
O 0.2991 0.7215 0.6188  1 Co 1.92, 2 Ni 1.92-1.97, 2 Li 2.11-2.14
O 0.2985 0.9900 0.5996  3 Ni 1.90-2.12, 3 Li 2.08-2.13
O 0.3011 0.2147 0.6000  2 Ni 1.91-1.92, 2 Li 2.10
O 0.3043 0.4820 0.5959  3 Ni 1.91-2.12, 2 Li 2.08-2.09
O 0.4798 0.8790 0.9822  1 Co 1.91, 2 Ni 1.91-1.95, 1 Li 2.13
O 0.4993 0.3884 0.0034  2 Co 1.91-1.92, 3 Li 2.06-2.09, 1 Ni 2.08

For the energy relative to the lowest polymorph listed for this composition, the calculation gives 0 meV per atom. For the energy of formation from the pure elements, the calculation gives -1.54 eV/atom.



7.
Computed, not measured: an optimized crystal structure of NdMn4Cu3O12 at the PBE with a Hubbard U level of DFT.

Unit cell a=7.4464 b=7.4464 c=7.4464 alpha=90.00 beta=90.00 gamma=90.00
Closest atoms and distances in Å follow each position.
Space group Im-3 (No. 204)
Inequivalent atoms, fractional coordinates:
Nd 0.0000 0.0000 0.0000  12 O 2.61
Mn 0.2500 0.2500 0.2500  6 O 2.00
Cu 0.0000 0.0000 0.5000  4 O 1.92
O 0.0000 0.3062 0.1705  1 Cu 1.92, 2 Mn 2.00

For the energy of formation from the pure elements, the calculation gives -1.84 eV/atom.



8.
Computed, not measured: an optimized crystal structure of MgV2In2O8 at the PBE with a Hubbard U level of DFT.

Unit cell a=5.0149 b=6.2678 c=5.2463 alpha=90.00 beta=100.59 gamma=90.00
Closest atoms and distances in Å follow each position.
Space group P2 (No. 3)
Inequivalent atoms, fractional coordinates:
Mg 0.0000 0.0000 0.0000  6 O 2.00-2.19
V 0.0000 0.5448 0.0000  4 O 1.88-1.90
V 0.5000 0.2672 0.0000  6 O 1.86-2.05
In 0.0000 0.2671 0.5000  6 O 2.13-2.22
In 0.5000 0.8415 0.5000  4 O 2.04-2.22
O 0.1849 0.7599 0.2129  1 V 1.88, 1 Mg 2.00, 1 In 2.04
O 0.2212 0.2698 0.1894  1 V 1.86
O 0.2539 0.4830 0.7810  2 V 1.90-2.04
O 0.2912 0.0522 0.7426  1 V 2.05, 1 Mg 2.19, 2 In 2.21-2.22

For the energy relative to the lowest polymorph listed for this composition, the calculation gives 0 meV per atom. For the energy of formation from the pure elements, the calculation gives -2.29 eV/atom.